[1]
Below is a geometry-optimized Y2O3 structure, with properties calculated at the r2SCAN level.

Calculated values
space-group type	No. 167
calculated total energy	-15.562	eV per atom
formation enthalpy at 0 K	-372	kJ/mol of atoms

extended XYZ file:
```
10
Lattice="-3.555 -2.132 4.031 2.636 -3.826 -3.846 1.634 -0.080 5.546" Properties=species:S:1:pos:R:3 pbc="T T T"
Y -0.133 -4.099 6.009
O 1.976 -3.446 1.134
O 1.733 -1.108 3.370
O -1.017 -4.931 2.360
O 1.612 -4.104 4.612
Y 0.848 -1.940 -0.278
O -1.260 -2.592 4.597
Y -0.491 -1.079 3.143
O -0.896 -1.935 1.119
Y 1.206 -4.959 2.587
```


[2]
Below is a geometry-optimized LiAgF6 structure, with properties calculated at the r2SCAN level.

Calculated values
space-group type	No. 206
calculated total energy	-6.650	eV per atom
formation enthalpy at 0 K	-129	kJ/mol of atoms

extended XYZ file:
```
32
Lattice="3.471 -6.492 2.632 -7.605 -1.396 -1.158 3.307 2.173 -6.743" Properties=species:S:1:pos:R:3 pbc="T T T"
F -4.663 0.032 -5.889
Ag 1.735 -3.246 1.316
Li 3.389 -2.160 -2.056
F 3.836 -5.748 0.620
F -2.121 -7.066 1.413
Ag -3.802 -0.698 -0.579
F 1.222 -2.001 -2.170
Li -2.149 0.388 -3.950
Ag -0.414 -2.858 -2.634
F -0.848 -2.978 -0.785
F -2.049 -3.715 -3.099
F -1.755 -5.365 -0.881
F 0.928 -0.351 -4.388
F 3.890 -4.222 -1.578
F 1.615 -4.185 -0.336
F 0.246 -6.142 0.572
F 1.294 1.350 -6.682
F -4.717 -1.494 -3.691
Li 0.000 0.000 0.000
F -6.202 -3.014 -0.771
F 0.021 -2.738 -4.484
F -1.261 -1.154 -2.699
F 5.375 -2.702 -4.498
Ag 1.653 1.086 -3.371
F -4.004 -4.404 -0.141
F -1.073 0.426 -5.841
F 0.434 -4.562 -2.570
F -2.442 -1.531 -4.933
F 3.177 -1.312 -5.128
Li -2.067 -3.944 0.737
F -3.532 -2.298 -1.576
F 2.705 -3.418 -3.693
```


[3]
Below is a geometry-optimized Ce3Th4O14 structure, with properties calculated at the r2SCAN level.

Calculated values
space-group type	No. 12
calculated total energy	-26.403	eV per atom
formation enthalpy at 0 K	-388	kJ/mol of atoms

extended XYZ file:
```
21
Lattice="2.767 6.184 -0.001 -2.767 6.184 -0.001 0.000 1.235 8.663" Properties=species:S:1:pos:R:3 pbc="T T T"
O 1.369 4.346 5.579
O 1.386 5.587 8.037
O -1.385 8.010 6.818
O 1.385 8.010 6.818
Ce 0.000 6.190 6.192
O -1.386 5.587 8.037
O 1.386 8.015 0.624
O -1.385 5.592 1.843
Ce 0.000 7.412 2.469
Ce 0.000 0.000 0.000
O 1.353 6.801 4.331
O -1.353 6.801 4.331
O -1.386 8.015 0.624
Th 0.000 11.142 3.707
O 1.385 5.592 1.843
O -1.369 4.346 5.579
O 1.369 9.256 3.082
Th 0.000 2.460 4.954
Th 0.000 9.889 7.434
Th 0.000 3.713 1.227
O -1.369 9.256 3.082
```